1.
Material: YMgCu3Se4
Method: DFT, GGA-PBE
State: optimized geometry

## Properties
Energy of formation   -0.903 eV per atom
Corrected total energy (MP2020 scheme)   -42.5 eV/f.u.
Symmetry   P-43m (215)

Cell: 5.9637 5.9637 5.9637 Å, 90.00 90.00 90.00°
Fractional coordinates of all 9 atoms:
Y: 0.0000 0.0000 0.0000
Mg: 0.5000 0.5000 0.5000
Cu: 0.0000 0.5000 0.0000
Cu: 0.0000 0.0000 0.5000
Cu: 0.5000 0.0000 0.0000
Se: 0.2549 0.2549 0.2549
Se: 0.7451 0.7451 0.2549
Se: 0.2549 0.7451 0.7451
Se: 0.7451 0.2549 0.7451



2.
Material: ZnCu3Sn4O12
Method: DFT, GGA-PBE
State: optimized geometry

## Properties
Energy of formation   -1.566 eV per atom
Corrected total energy (MP2020 scheme)   -120.3 eV/f.u.
Symmetry   Im-3 (204)

Cell: 6.6978 6.6978 6.6978 Å, 109.47 109.47 109.47°
Fractional coordinates of all 20 atoms:
Zn: 0.0000 0.0000 0.0000
Cu: 0.5000 0.5000 0.0000
Cu: 0.5000 0.0000 0.5000
Cu: 0.0000 0.5000 0.5000
Sn: 0.5000 0.5000 0.5000
Sn: 0.0000 0.5000 0.0000
Sn: 0.0000 0.0000 0.5000
Sn: 0.5000 0.0000 0.0000
O: 0.3077 0.8305 0.1383
O: 0.6923 0.1695 0.8617
O: 0.6923 0.8305 0.5228
O: 0.8617 0.6923 0.1695
O: 0.8305 0.1383 0.3077
O: 0.1695 0.4772 0.3077
O: 0.4772 0.3077 0.1695
O: 0.1695 0.8617 0.6923
O: 0.3077 0.1695 0.4772
O: 0.1383 0.3077 0.8305
O: 0.8305 0.5228 0.6923
O: 0.5228 0.6923 0.8305



3.
Material: Cr2Cd3N4
Method: DFT, GGA-PBE
State: optimized geometry

## Properties
Energy of formation   -0.087 eV per atom
Corrected total energy (MP2020 scheme)   -56.2 eV/f.u.
Symmetry   C2/c (15)

Cell: 8.0938 8.7301 5.8470 Å, 90.00 112.27 122.64°
Fractional coordinates of all 18 atoms:
Cr: 0.5129 0.1482 0.5218
Cr: 0.4871 0.6353 0.9782
Cr: 0.4871 0.8518 0.4782
Cr: 0.5129 0.3647 0.0218
Cd: 0.9871 0.8239 0.9782
Cd: 0.0129 0.8368 0.5218
Cd: 0.0129 0.1761 0.0218
Cd: 0.9871 0.1632 0.4782
Cd: 0.0000 0.5137 0.7500
Cd: 0.0000 0.4863 0.2500
N: 0.2782 0.8995 0.3864
N: 0.7218 0.6213 0.1136
N: 0.7218 0.1005 0.6136
N: 0.2782 0.3787 0.8864
N: 0.5233 0.2516 0.7893
N: 0.4767 0.7283 0.7107
N: 0.4767 0.7484 0.2107
N: 0.5233 0.2717 0.2893